Arrangement 1

# MgFeCo5O12

A relaxed MgFeCo5O12 crystal (GGA+U, Materials Project).

Cell and atoms, written as POSCAR:
```
MgFeCo5O12
1.0
2.4987 4.3240 -0.3496
-2.4662 4.3021 -0.1829
-0.3344 -0.6316 10.0401
Co O Mg Fe
5 12 1 1
Direct
0.5128 0.0068 0.5005
0.8446 0.3453 0.5000
0.3126 0.3420 0.9946
0.1763 0.6766 0.4949
0.6514 0.6750 0.0124
0.8410 0.6773 0.6092
0.3509 0.0198 0.0953
0.2178 0.9995 0.6002
0.1482 0.3375 0.4096
0.6528 0.3542 0.0957
0.8114 0.0126 0.4097
0.5397 0.3554 0.5992
0.0179 0.6546 0.0960
0.5158 0.6758 0.4025
0.9352 0.3693 0.8954
0.3137 0.6615 0.8951
0.6062 0.9921 0.8955
0.5712 0.6740 0.7471
0.9804 0.0082 0.9972
```

Summary:
crystal system: triclinic
calculated density: 4.4 g/cm³
total magnetic moment: 9.04 μB/f.u.

Arrangement 2

# MgFeCo5O12

A relaxed MgFeCo5O12 crystal (GGA+U, Materials Project).

Cell and atoms, written as POSCAR:
```
MgFeCo5O12
1.0
2.4923 4.3292 -0.3587
-2.4620 4.2993 -0.1793
-0.3612 -0.6275 9.8338
O Co Mg Fe
12 5 1 1
Direct
0.2798 0.6750 0.8942
0.1461 0.3365 0.4047
0.4826 0.6635 0.4047
0.3870 0.0000 0.0961
0.0137 0.6235 0.0963
0.1752 0.0000 0.6078
0.9548 0.3250 0.8942
0.5534 0.3222 0.5983
0.6342 0.0000 0.8950
0.8756 0.6778 0.5983
0.6372 0.3765 0.0963
0.8484 0.0000 0.3954
0.3156 0.3343 0.9887
0.8474 0.3309 0.4965
0.6499 0.6657 0.9887
0.1783 0.6691 0.4965
0.5113 0.0000 0.4948
0.9080 0.0000 0.7528
0.9989 0.0000 0.0433
```

Summary:
crystal system: monoclinic
calculated density: 4.5 g/cm³
total magnetic moment: 11.03 μB/f.u.

Stability check: which of them is least stable? arrangement 2.

Arrangement 1

# Fe2CoO4

A relaxed Fe2CoO4 crystal (GGA+U, Materials Project).

Cell and atoms, written as POSCAR:
```
Fe2CoO4
1.0
-5.3015 -2.2921 1.7280
-2.1139 -4.9777 -2.6645
-0.9250 -31.0180 18.2931
Co Fe O
12 24 48
Direct
0.8787 0.8787 0.1447
0.4998 0.4998 0.2500
0.5000 0.5000 0.8334
0.4994 0.4994 0.5004
0.4996 0.4996 0.4165
0.4977 0.4977 0.0844
0.8777 0.8777 0.9781
0.5006 0.5006 0.6667
0.5004 0.5004 0.7499
0.4990 0.4990 0.3337
0.4999 0.4999 0.5833
0.5024 0.5024 0.9162
0.4984 0.0028 0.9163
0.9940 0.5011 0.2505
0.5027 0.5027 0.1650
0.4987 0.9986 0.4174
0.8807 0.8807 0.8115
0.8790 0.8790 0.3127
0.9986 0.4987 0.4174
0.5011 0.9940 0.2505
0.0010 0.5029 0.0822
0.4997 0.9999 0.7502
0.1185 0.1185 0.5222
0.1192 0.1192 0.6889
0.5030 0.5030 0.9990
0.9995 0.4989 0.5837
0.1194 0.1194 0.8550
0.0028 0.4984 0.9163
0.8798 0.8798 0.4784
0.9999 0.4997 0.7502
0.1229 0.1229 0.1880
0.8808 0.8808 0.6450
0.5029 0.0010 0.0822
0.4989 0.9995 0.5837
0.1192 0.1192 0.3554
0.1237 0.1237 0.0199
0.2462 0.7313 0.3771
0.2605 0.2605 0.0447
0.2855 0.7335 0.1221
0.2532 0.2532 0.3771
0.7545 0.2697 0.6230
0.2541 0.2541 0.7882
0.7335 0.2855 0.1221
0.2465 0.7333 0.8763
0.2458 0.7307 0.5432
0.2469 0.7317 0.7097
0.2688 0.7533 0.4561
0.7509 0.7509 0.6220
0.7492 0.7492 0.4557
0.2534 0.2534 0.2884
0.7464 0.2776 0.9584
0.7533 0.2688 0.4561
0.2508 0.2508 0.5441
0.7297 0.7297 0.0480
0.7550 0.2699 0.7896
0.7555 0.2664 0.2896
0.7383 0.7383 0.1235
0.2533 0.2533 0.6218
0.2699 0.7550 0.7896
0.7484 0.7484 0.8773
0.2697 0.7545 0.6230
0.2500 0.7307 0.2082
0.2607 0.2607 0.9521
0.7313 0.2462 0.3771
0.7478 0.7478 0.7111
0.7508 0.7508 0.7886
0.7471 0.7471 0.5446
0.7395 0.7395 0.9564
0.2656 0.7070 0.0469
0.2496 0.2496 0.8773
0.7070 0.2656 0.0469
0.2621 0.2621 0.1225
0.2776 0.7464 0.9584
0.7482 0.7482 0.3785
0.7435 0.7435 0.2132
0.7307 0.2500 0.2082
0.7307 0.2458 0.5432
0.2499 0.2499 0.4555
0.2664 0.7555 0.2896
0.7333 0.2465 0.8763
0.7484 0.7484 0.2897
0.2517 0.2517 0.7107
0.7317 0.2469 0.7097
0.2573 0.2573 0.2098
```

Summary:
crystal system: monoclinic
calculated density: 5.0 g/cm³
total magnetic moment: 12.66 μB/f.u.

Arrangement 2

# Fe2CoO4

A relaxed Fe2CoO4 crystal (GGA+U, Materials Project).

Cell and atoms, written as POSCAR:
```
Fe2CoO4
1.0
-4.2816 -4.2816 0.0000
-4.2816 0.0000 -4.2816
0.0000 -4.2816 -4.2816
O Co Fe
8 2 4
Direct
0.1567 0.6144 0.6144
0.1356 0.5933 0.1356
0.6144 0.1567 0.6144
0.1356 0.1356 0.5933
0.6144 0.6144 0.1567
0.5933 0.1356 0.1356
0.6144 0.6144 0.6144
0.1356 0.1356 0.1356
0.7500 0.7500 0.7500
0.0000 0.0000 0.0000
0.3750 0.3750 0.8750
0.3750 0.8750 0.3750
0.8750 0.3750 0.3750
0.3750 0.3750 0.3750
```

Summary:
crystal system: cubic
calculated density: 5.0 g/cm³

Stability check: which of them is least stable? arrangement 1.

Arrangement 1

# Fe2CoO4

A relaxed Fe2CoO4 crystal (GGA+U, Materials Project).

Cell and atoms, written as POSCAR:
```
Fe2CoO4
1.0
1.9098 2.1806 5.2778
3.6526 -3.3266 3.4423
23.1088 6.3704 2.8277
O Fe Co
32 16 8
Direct
0.7476 0.7476 0.3208
0.2692 0.7511 0.6849
0.7199 0.2398 0.0662
0.2549 0.7371 0.3125
0.7523 0.7523 0.4332
0.2497 0.7328 0.5642
0.7498 0.7498 0.5669
0.7371 0.2549 0.3125
0.7494 0.7494 0.6833
0.7580 0.2683 0.4336
0.7531 0.2843 0.1844
0.2480 0.2480 0.8175
0.2468 0.2468 0.9339
0.2505 0.2505 0.0620
0.7308 0.2459 0.8160
0.7511 0.2692 0.6849
0.7336 0.7336 0.1912
0.2398 0.7199 0.0662
0.2843 0.7531 0.1844
0.2723 0.2723 0.3080
0.7446 0.7446 0.0727
0.2683 0.7580 0.4336
0.7328 0.2497 0.5642
0.2498 0.2498 0.1802
0.2502 0.2502 0.6831
0.2518 0.2518 0.5657
0.7409 0.2795 0.9365
0.2795 0.7409 0.9365
0.7356 0.7356 0.9373
0.2459 0.7308 0.8160
0.2537 0.2537 0.4316
0.7510 0.7510 0.8160
0.4948 0.4948 0.9994
0.4989 0.9962 0.8758
0.9962 0.4989 0.8758
0.1189 0.1189 0.7832
0.8805 0.8805 0.4681
0.9997 0.5062 0.3744
0.0001 0.4996 0.6252
0.5077 0.5077 0.2476
0.4988 0.9937 0.1257
0.9937 0.4988 0.1257
0.4996 0.0001 0.6252
0.5062 0.9997 0.3744
0.1277 0.1277 0.2786
0.8799 0.8799 0.7175
0.1216 0.1216 0.5315
0.1142 0.1142 0.0320
0.8760 0.8760 0.9703
0.4986 0.4986 0.7508
0.4995 0.4995 0.8752
0.5014 0.5014 0.4992
0.8810 0.8810 0.2192
0.5032 0.5032 0.3741
0.5000 0.5000 0.6249
0.4997 0.4997 0.1259
```

Summary:
crystal system: monoclinic
calculated density: 5.0 g/cm³
total magnetic moment: 12.75 μB/f.u.

Arrangement 2

# Fe2CoO4

A relaxed Fe2CoO4 crystal (GGA+U, Materials Project).

Cell and atoms, written as POSCAR:
```
Fe2CoO4
1.0
5.1395 -2.9322 -0.4326
0.1379 -0.7525 5.8834
-4.7115 -1.7546 -3.1500
O Co Fe
8 2 4
Direct
0.7625 0.7412 0.4787
0.7625 0.2839 0.0213
0.7832 0.2548 0.5283
0.2375 0.7161 0.9787
0.2375 0.2588 0.5213
0.2265 0.2548 0.9717
0.7735 0.7452 0.0283
0.2168 0.7452 0.4717
0.6256 0.8756 0.7500
0.3744 0.1244 0.2500
0.0000 0.5000 0.5000
0.5000 0.5000 0.0000
0.0000 0.5000 0.0000
0.0000 0.0000 0.5000
```

Summary:
crystal system: orthorhombic
calculated density: 5.3 g/cm³
total magnetic moment: 3.02 μB/f.u.

Stability check: which of them is least stable? arrangement 2.

Arrangement 1

# FeCo2O6

A relaxed FeCo2O6 crystal (GGA+U, Materials Project).

Cell and atoms, written as POSCAR:
```
FeCo2O6
1.0
1.4436 6.3807 0.0000
-1.4436 6.3807 0.0000
0.0000 1.4045 5.6610
O Fe Co
6 1 2
Direct
0.3389 0.3389 0.1233
0.0159 0.0159 0.7681
0.6611 0.6611 0.8767
0.3206 0.3206 0.5551
0.6794 0.6794 0.4449
0.9841 0.9841 0.2319
0.5000 0.5000 0.0000
0.1692 0.1692 0.6620
0.8308 0.8308 0.3380
```

Summary:
crystal system: monoclinic
calculated density: 4.3 g/cm³
total magnetic moment: 6.00 μB/f.u.

Arrangement 2

# FeCo2O6

A relaxed FeCo2O6 crystal (GGA+U, Materials Project).

Cell and atoms, written as POSCAR:
```
FeCo2O6
1.0
-4.6404 -1.5553 -1.0392
3.8059 -3.2472 -0.0488
-1.4596 -1.8502 9.2871
O Co Fe
12 4 2
Direct
0.6554 0.0000 0.9009
0.5000 0.8446 0.4009
0.1554 0.1554 0.4010
0.8446 0.5000 0.4009
0.6554 0.6554 0.0990
0.3446 0.3446 0.9010
0.5000 0.1554 0.5991
0.0000 0.3446 0.0991
0.3446 0.0000 0.0991
0.8446 0.8446 0.5990
0.1554 0.5000 0.5991
0.0000 0.6554 0.9009
0.3333 0.6667 0.0000
0.6667 0.3333 0.0000
0.8333 0.1667 0.5000
0.1667 0.8333 0.5000
0.5000 0.5000 0.5000
0.0000 0.0000 0.0000
```

Summary:
crystal system: orthorhombic
calculated density: 4.3 g/cm³
total magnetic moment: 2.00 μB/f.u.

Stability check: which of them is least stable? arrangement 1.

Arrangement 1

# FeCo3O8

A relaxed FeCo3O8 crystal (GGA+U, Materials Project).

Cell and atoms, written as POSCAR:
```
FeCo3O8
1.0
4.9700 -2.8422 0.0000
4.9700 2.8422 0.0000
3.3447 0.0000 4.6467
O Co Fe
8 3 1
Direct
0.2634 0.2634 0.2634
0.7027 0.2490 0.2490
0.7403 0.7403 0.7403
0.2490 0.7027 0.2490
0.7526 0.7526 0.2861
0.2861 0.7526 0.7526
0.2490 0.2490 0.7027
0.7526 0.2861 0.7526
0.0093 0.4959 0.4959
0.4959 0.4959 0.0093
0.4959 0.0093 0.4959
0.8782 0.8782 0.8782
```

Summary:
crystal system: trigonal
calculated density: 4.6 g/cm³
total magnetic moment: 9.00 μB/f.u.

Arrangement 2

# FeCo3O8

A relaxed FeCo3O8 crystal (GGA+U, Materials Project).

Cell and atoms, written as POSCAR:
```
FeCo3O8
1.0
2.8067 -4.8614 0.0000
2.8067 4.8614 0.0000
0.0000 0.0000 8.9063
O Co Fe
16 6 2
Direct
0.4804 0.9609 0.3298
0.8399 0.1601 0.1056
0.1601 0.3203 0.6056
0.3203 0.1601 0.1056
0.0000 0.0000 0.3191
0.0000 0.0000 0.8191
0.9609 0.4804 0.8298
0.5196 0.0391 0.8298
0.4804 0.5196 0.3298
0.8399 0.6797 0.1056
0.5196 0.4804 0.8298
0.1601 0.8399 0.6056
0.6667 0.3333 0.6005
0.0391 0.5196 0.3298
0.3333 0.6667 0.1005
0.6797 0.8399 0.6056
0.8322 0.6644 0.7121
0.1678 0.3356 0.2121
0.3356 0.1678 0.7121
0.1678 0.8322 0.2121
0.8322 0.1678 0.7121
0.6644 0.8322 0.2121
0.3333 0.6667 0.4957
0.6667 0.3333 0.9957
```

Summary:
crystal system: hexagonal
calculated density: 4.9 g/cm³
total magnetic moment: 7.00 μB/f.u.

Stability check: which of them is least stable? arrangement 1.